[1]
{
  "formula": "Li3FeP2O8",
  "functional": "PBE with a Hubbard U",
  "state": "relaxed",
  "total_energy_ev_per_atom": -6.57,
  "crystal_system": "trigonal",
  "m_tot_mub_per_atom": 0.3571,
  "space_group": "P-3 (147)",
  "rho_g_cm3": 2.9,
  "delta_e_f_ev_per_atom": -2.513,
  "cell": [[4.379, -7.585, 0.000], [4.379, 7.585, 0.000], [0.000, 0.000, 6.889]],
  "species": ["Li", "Li", "Li", "Li", "Li", "Li", "Li", "Li", "Li", "O", "O", "O", "O", "O", "O", "O", "O", "O", "O", "O", "O", "O", "O", "O", "O", "O", "O", "O", "O", "O", "O", "O", "O", "P", "P", "P", "P", "P", "P", "Fe", "Fe", "Fe"],
  "frac_coords": [[0.333, 0.667, 0.980], [0.000, 0.000, 0.000], [0.301, 0.371, 0.786], [0.371, 0.070, 0.214], [0.070, 0.699, 0.786], [0.930, 0.301, 0.214], [0.667, 0.333, 0.020], [0.629, 0.930, 0.786], [0.699, 0.629, 0.214], [0.854, 0.049, 0.298], [0.158, 0.706, 0.422], [0.195, 0.146, 0.298], [0.805, 0.854, 0.702], [0.867, 0.489, 0.254], [0.049, 0.195, 0.702], [0.511, 0.377, 0.254], [0.623, 0.133, 0.254], [0.706, 0.548, 0.578], [0.727, 0.601, 0.937], [0.951, 0.805, 0.298], [0.489, 0.623, 0.746], [0.874, 0.273, 0.937], [0.146, 0.951, 0.702], [0.273, 0.399, 0.063], [0.294, 0.452, 0.422], [0.399, 0.126, 0.937], [0.377, 0.867, 0.746], [0.601, 0.874, 0.063], [0.452, 0.158, 0.578], [0.133, 0.511, 0.746], [0.126, 0.727, 0.063], [0.548, 0.842, 0.422], [0.842, 0.294, 0.578], [0.972, 0.318, 0.744], [0.346, 0.028, 0.744], [0.318, 0.346, 0.256], [0.682, 0.654, 0.744], [0.654, 0.972, 0.256], [0.028, 0.682, 0.256], [0.667, 0.333, 0.454], [0.000, 0.000, 0.500], [0.333, 0.667, 0.546]]
}



[2]
{
  "formula": "Li4V3P8O29",
  "functional": "PBE with a Hubbard U",
  "state": "relaxed",
  "total_energy_ev_per_atom": -7.04,
  "crystal_system": "triclinic",
  "m_tot_mub_per_atom": 0.0227,
  "space_group": "P1 (1)",
  "rho_g_cm3": 2.5,
  "delta_e_f_ev_per_atom": -2.573,
  "cell": [[9.715, 0.000, 0.000], [-4.837, -8.463, 0.000], [-0.067, 0.015, -14.235]],
  "species": ["O", "O", "O", "O", "O", "O", "O", "O", "O", "O", "O", "O", "O", "O", "O", "O", "O", "O", "O", "O", "O", "O", "O", "O", "O", "O", "O", "O", "O", "O", "O", "O", "O", "O", "O", "O", "O", "O", "O", "O", "O", "O", "O", "O", "O", "O", "O", "O", "O", "O", "O", "O", "O", "O", "O", "O", "O", "O", "P", "P", "P", "P", "P", "P", "P", "P", "P", "P", "P", "P", "P", "P", "P", "P", "V", "V", "V", "V", "V", "V", "Li", "Li", "Li", "Li", "Li", "Li", "Li", "Li"],
  "frac_coords": [[0.532, 0.910, 0.170], [0.200, 0.000, 0.750], [0.004, 0.791, 0.422], [0.080, 0.623, 0.164], [0.237, 0.025, 0.930], [0.742, 0.659, 0.338], [0.999, 0.193, 0.922], [0.542, 0.621, 0.667], [0.208, 0.975, 0.570], [0.256, 0.921, 0.162], [0.322, 0.812, 0.329], [0.079, 0.735, 0.675], [0.779, 0.983, 0.071], [0.663, 0.360, 0.029], [0.992, 0.197, 0.744], [0.344, 0.264, 0.825], [0.813, 0.476, 0.686], [0.213, 0.210, 0.077], [0.803, 0.322, 0.176], [0.337, 0.082, 0.342], [0.671, 0.181, 0.677], [0.919, 0.258, 0.336], [0.256, 0.343, 0.661], [0.201, 0.202, 0.252], [0.361, 0.672, 0.969], [0.339, 0.667, 0.472], [0.463, 0.381, 0.331], [0.783, 0.010, 0.429], [0.920, 0.537, 0.327], [0.481, 0.670, 0.320], [0.088, 0.346, 0.164], [0.761, 0.760, 0.931], [0.617, 0.526, 0.820], [0.507, 0.189, 0.168], [0.802, 0.803, 0.578], [0.188, 0.668, 0.829], [0.469, 0.091, 0.823], [0.661, 0.737, 0.165], [0.740, 0.080, 0.837], [0.659, 0.920, 0.663], [0.378, 0.910, 0.677], [0.998, 0.801, 0.072], [0.520, 0.332, 0.670], [0.385, 0.462, 0.174], [0.913, 0.656, 0.839], [0.793, 0.801, 0.756], [0.686, 0.328, 0.530], [0.672, 0.487, 0.183], [0.187, 0.510, 0.329], [0.797, 0.998, 0.250], [0.996, 0.799, 0.248], [0.999, 0.237, 0.568], [0.618, 0.088, 0.324], [0.489, 0.818, 0.823], [0.209, 0.216, 0.428], [0.923, 0.378, 0.833], [0.339, 0.524, 0.814], [0.089, 0.472, 0.679], [0.688, 0.909, 0.159], [0.225, 0.309, 0.161], [0.917, 0.692, 0.339], [0.084, 0.314, 0.658], [0.312, 0.094, 0.839], [0.081, 0.780, 0.155], [0.777, 0.088, 0.340], [0.340, 0.666, 0.866], [0.331, 0.665, 0.368], [0.672, 0.333, 0.634], [0.917, 0.216, 0.841], [0.304, 0.222, 0.345], [0.663, 0.336, 0.133], [0.216, 0.906, 0.661], [0.769, 0.683, 0.842], [0.698, 0.782, 0.659], [0.565, 0.564, 0.257], [0.435, 0.436, 0.741], [0.433, 0.999, 0.250], [0.999, 0.563, 0.758], [0.562, 0.000, 0.750], [0.999, 0.435, 0.244], [0.333, 0.100, 0.060], [0.765, 0.090, 0.552], [0.962, 0.942, 0.490], [0.235, 0.904, 0.440], [0.016, 0.049, 0.014], [0.095, 0.332, 0.437], [0.677, 0.908, 0.948], [0.767, 0.667, 0.059]]
}



[3]
{
  "formula": "MgTi3V5O16",
  "functional": "PBE with a Hubbard U",
  "state": "relaxed",
  "total_energy_ev_per_atom": -8.04,
  "crystal_system": "triclinic",
  "m_tot_mub_per_atom": 0.2800,
  "space_group": "P1 (1)",
  "rho_g_cm3": 3.9,
  "delta_e_f_ev_per_atom": -2.825,
  "cell": [[5.920, -0.042, -0.068], [-2.997, 5.153, 0.023], [-0.098, -0.018, 9.428]],
  "species": ["O", "O", "O", "O", "O", "O", "O", "O", "O", "O", "O", "O", "O", "O", "O", "O", "Ti", "Ti", "Ti", "V", "V", "V", "V", "V", "Mg"],
  "frac_coords": [[0.143, 0.820, 0.606], [0.495, 0.540, 0.341], [0.512, 0.024, 0.839], [0.836, 0.683, 0.091], [0.358, 0.176, 0.104], [0.144, 0.320, 0.606], [0.969, 0.981, 0.814], [0.625, 0.311, 0.607], [0.368, 0.695, 0.106], [0.850, 0.163, 0.100], [0.032, 0.015, 0.312], [0.497, 0.978, 0.349], [0.642, 0.818, 0.607], [0.938, 0.465, 0.825], [0.512, 0.476, 0.840], [0.056, 0.532, 0.324], [0.137, 0.808, 0.202], [0.221, 0.341, 0.210], [0.330, 0.160, 0.732], [0.836, 0.172, 0.693], [0.834, 0.659, 0.693], [0.673, 0.886, 0.245], [0.322, 0.660, 0.488], [0.687, 0.334, 0.985], [0.641, 0.815, 0.949]]
}



[4]
{
  "formula": "VH10SO10",
  "functional": "PBE with a Hubbard U",
  "state": "relaxed",
  "total_energy_ev_per_atom": -5.03,
  "crystal_system": "orthorhombic",
  "m_tot_mub_per_atom": 0.0455,
  "space_group": "Pmn2_1 (31)",
  "rho_g_cm3": 1.4,
  "delta_e_f_ev_per_atom": -1.027,
  "cell": [[-0.182, 7.191, 1.615], [-7.028, 0.446, -2.778], [-4.106, -2.352, 10.009]],
  "species": ["H", "H", "H", "H", "H", "H", "H", "H", "H", "H", "H", "H", "H", "H", "H", "H", "H", "H", "H", "H", "O", "O", "O", "O", "O", "O", "O", "O", "O", "O", "O", "O", "O", "O", "O", "O", "O", "O", "O", "O", "V", "V", "S", "S"],
  "frac_coords": [[0.551, 0.486, 0.077], [0.894, 0.249, 0.807], [0.231, 0.973, 0.484], [0.769, 0.973, 0.484], [0.394, 0.749, 0.193], [0.731, 0.473, 0.516], [0.237, 0.200, 0.349], [0.737, 0.700, 0.651], [0.144, 0.914, 0.358], [0.263, 0.700, 0.651], [0.356, 0.414, 0.642], [0.856, 0.914, 0.358], [0.606, 0.749, 0.193], [0.644, 0.414, 0.642], [0.269, 0.473, 0.516], [0.106, 0.249, 0.807], [0.949, 0.986, 0.923], [0.051, 0.986, 0.923], [0.763, 0.200, 0.349], [0.449, 0.486, 0.077], [0.230, 0.998, 0.397], [0.730, 0.298, 0.291], [0.500, 0.160, 0.072], [0.785, 0.462, 0.351], [0.500, 0.264, 0.714], [0.230, 0.798, 0.709], [0.270, 0.498, 0.603], [0.000, 0.764, 0.286], [0.000, 0.660, 0.928], [0.770, 0.998, 0.397], [0.500, 0.975, 0.867], [0.000, 0.475, 0.133], [0.770, 0.798, 0.709], [0.715, 0.962, 0.649], [0.500, 0.810, 0.159], [0.215, 0.462, 0.351], [0.000, 0.310, 0.841], [0.730, 0.498, 0.603], [0.270, 0.298, 0.291], [0.285, 0.962, 0.649], [0.500, 0.040, 0.727], [0.000, 0.540, 0.273], [0.500, 0.096, 0.195], [0.000, 0.596, 0.805]]
}



[5]
{
  "formula": "LiFeP3H14O16",
  "functional": "PBE with a Hubbard U",
  "state": "relaxed",
  "total_energy_ev_per_atom": -5.77,
  "crystal_system": "triclinic",
  "m_tot_mub_per_atom": 0.1143,
  "space_group": "P1 (1)",
  "rho_g_cm3": 2.1,
  "delta_e_f_ev_per_atom": -1.767,
  "cell": [[7.507, 0.000, 0.000], [2.917, 8.532, 0.000], [1.913, 2.895, 10.335]],
  "species": ["O", "O", "O", "O", "O", "O", "O", "O", "O", "O", "O", "O", "O", "O", "O", "O", "O", "O", "O", "O", "O", "O", "O", "O", "O", "O", "O", "O", "O", "O", "O", "O", "H", "H", "H", "H", "H", "H", "H", "H", "H", "H", "H", "H", "H", "H", "H", "H", "H", "H", "H", "H", "H", "H", "H", "H", "H", "H", "H", "H", "Fe", "Fe", "P", "P", "P", "P", "P", "P", "Li", "Li"],
  "frac_coords": [[0.854, 0.489, 0.812], [0.814, 0.868, 0.105], [0.310, 0.177, 0.081], [0.708, 0.674, 0.546], [0.232, 0.871, 0.561], [0.691, 0.824, 0.917], [0.760, 0.231, 0.989], [0.832, 0.586, 0.093], [0.752, 0.906, 0.677], [0.149, 0.528, 0.659], [0.928, 0.294, 0.647], [0.511, 0.784, 0.136], [0.839, 0.466, 0.340], [0.187, 0.132, 0.895], [0.489, 0.218, 0.862], [0.359, 0.059, 0.665], [0.547, 0.363, 0.207], [0.311, 0.316, 0.454], [0.237, 0.770, 0.013], [0.454, 0.637, 0.794], [0.570, 0.372, 0.606], [0.168, 0.415, 0.906], [0.441, 0.620, 0.382], [0.076, 0.009, 0.182], [0.141, 0.508, 0.195], [0.927, 0.990, 0.819], [0.985, 0.301, 0.177], [0.013, 0.699, 0.820], [0.760, 0.130, 0.438], [0.643, 0.948, 0.333], [0.076, 0.705, 0.355], [0.248, 0.101, 0.321], [0.585, 0.598, 0.816], [0.659, 0.226, 0.942], [0.221, 0.948, 0.474], [0.774, 0.056, 0.527], [0.706, 0.346, 0.623], [0.299, 0.079, 0.749], [0.340, 0.775, 0.059], [0.301, 0.648, 0.379], [0.719, 0.726, 0.609], [0.801, 0.327, 0.932], [0.910, 0.340, 0.721], [0.493, 0.999, 0.678], [0.323, 0.227, 0.537], [0.415, 0.400, 0.186], [0.197, 0.674, 0.069], [0.284, 0.269, 0.392], [0.507, 0.003, 0.322], [0.955, 0.176, 0.686], [0.627, 0.314, 0.140], [0.701, 0.924, 0.250], [0.483, 0.687, 0.297], [0.514, 0.311, 0.686], [0.681, 0.766, 0.466], [0.048, 0.824, 0.316], [0.261, 0.931, 0.613], [0.091, 0.660, 0.280], [0.732, 0.066, 0.388], [0.377, 0.687, 0.861], [0.000, 0.001, 0.000], [0.583, 0.372, 0.404], [0.706, 0.774, 0.070], [0.847, 0.868, 0.798], [0.295, 0.228, 0.927], [0.955, 0.468, 0.213], [0.155, 0.133, 0.200], [0.040, 0.530, 0.787], [0.409, 0.638, 0.610], [0.990, 0.513, 0.508]]
}



[6]
{
  "formula": "LiMnNbO4",
  "functional": "PBE with a Hubbard U",
  "state": "relaxed",
  "total_energy_ev_per_atom": -7.86,
  "crystal_system": "tetragonal",
  "m_tot_mub_per_atom": 0.0000,
  "space_group": "P4_322 (95)",
  "rho_g_cm3": 4.3,
  "delta_e_f_ev_per_atom": -2.643,
  "cell": [[6.209, 0.000, 0.000], [0.000, 6.209, 0.000], [0.000, 0.000, 8.773]],
  "species": ["O", "O", "O", "O", "O", "O", "O", "O", "O", "O", "O", "O", "O", "O", "O", "O", "Li", "Li", "Li", "Li", "Mn", "Mn", "Mn", "Mn", "Nb", "Nb", "Nb", "Nb"],
  "frac_coords": [[0.498, 0.747, 0.250], [0.004, 0.750, 0.752], [0.747, 0.498, 0.000], [0.253, 0.502, 0.500], [0.996, 0.250, 0.252], [0.004, 0.250, 0.748], [0.498, 0.253, 0.250], [0.502, 0.747, 0.750], [0.996, 0.750, 0.248], [0.253, 0.498, 0.000], [0.750, 0.996, 0.002], [0.250, 0.004, 0.502], [0.502, 0.253, 0.750], [0.750, 0.004, 0.498], [0.747, 0.502, 0.500], [0.250, 0.996, 0.998], [0.000, 0.227, 0.000], [0.000, 0.773, 0.500], [0.227, 0.000, 0.250], [0.773, 0.000, 0.750], [0.238, 0.500, 0.250], [0.500, 0.238, 0.000], [0.762, 0.500, 0.750], [0.500, 0.762, 0.500], [0.251, 0.749, 0.875], [0.749, 0.749, 0.125], [0.749, 0.251, 0.375], [0.251, 0.251, 0.625]]
}



[7]
{
  "formula": "Li3Ni5O10",
  "functional": "PBE with a Hubbard U",
  "state": "relaxed",
  "total_energy_ev_per_atom": -4.83,
  "crystal_system": "triclinic",
  "m_tot_mub_per_atom": 0.1667,
  "space_group": "P1 (1)",
  "rho_g_cm3": 4.7,
  "delta_e_f_ev_per_atom": -1.245,
  "cell": [[-1.880, -5.295, 3.210], [-2.039, -3.358, -6.368], [5.480, -4.216, -3.079]],
  "species": ["Ni", "Ni", "Ni", "Ni", "Ni", "Ni", "Ni", "Ni", "Ni", "Ni", "O", "O", "O", "O", "O", "O", "O", "O", "O", "O", "O", "O", "O", "O", "O", "O", "O", "O", "O", "O", "Li", "Li", "Li", "Li", "Li", "Li"],
  "frac_coords": [[0.995, 0.499, 0.498], [0.102, 0.900, 0.400], [0.204, 0.304, 0.298], [0.501, 0.501, 0.001], [0.296, 0.699, 0.198], [0.900, 0.101, 0.601], [0.701, 0.298, 0.802], [0.802, 0.700, 0.702], [0.397, 0.102, 0.099], [0.600, 0.897, 0.903], [0.623, 0.131, 0.684], [0.479, 0.265, 0.222], [0.979, 0.267, 0.722], [0.424, 0.363, 0.854], [0.328, 0.955, 0.958], [0.831, 0.955, 0.457], [0.523, 0.735, 0.778], [0.930, 0.361, 0.348], [0.724, 0.560, 0.557], [0.178, 0.074, 0.519], [0.269, 0.444, 0.447], [0.371, 0.839, 0.340], [0.671, 0.039, 0.048], [0.775, 0.441, 0.949], [0.079, 0.638, 0.641], [0.582, 0.662, 0.125], [0.872, 0.841, 0.845], [0.123, 0.164, 0.157], [0.011, 0.731, 0.278], [0.224, 0.538, 0.072], [0.900, 0.615, 0.098], [0.311, 0.173, 0.690], [0.104, 0.396, 0.896], [0.695, 0.806, 0.308], [0.398, 0.611, 0.599], [0.794, 0.198, 0.212]]
}



[8]
{
  "formula": "BaNdCo2O5",
  "functional": "PBE with a Hubbard U",
  "state": "relaxed",
  "total_energy_ev_per_atom": -6.66,
  "crystal_system": "orthorhombic",
  "m_tot_mub_per_atom": 0.6474,
  "space_group": "Pmmm (47)",
  "rho_g_cm3": 6.5,
  "delta_e_f_ev_per_atom": -2.331,
  "cell": [[-1.365, -0.039, -3.656], [-0.140, -4.015, 0.095], [-7.309, 0.319, 2.725]],
  "species": ["O", "O", "O", "O", "O", "Co", "Co", "Nd", "Ba"],
  "frac_coords": [[0.000, 0.500, 0.803], [0.500, 0.000, 0.810], [0.500, 0.000, 0.190], [0.000, 0.500, 0.197], [0.000, 0.000, 0.500], [0.000, 0.000, 0.755], [0.000, 0.000, 0.245], [0.500, 0.500, 0.000], [0.500, 0.500, 0.500]]
}